Li9Mn7O16 | GGA+U | optimized geometry

Results
Crystal system: monoclinic
ΔE_f, eV/atom: -2.12
E above lowest polymorph, kJ per mole of atoms: 2.7
E_tot, eV per atom: -6.42
SG: No. 12

abc: 6.518 6.518 10.550
angles: 119.26 119.26 52.50
Positions (direct):
Li 0.000 0.000 0.000
Li 0.243 0.751 0.241
Li 0.247 0.247 0.999
Li 0.249 0.757 0.759
Li 0.250 0.250 0.499
Li 0.750 0.750 0.501
Li 0.751 0.243 0.241
Li 0.753 0.753 0.001
Li 0.757 0.249 0.759
Mn 0.000 0.000 0.500
Mn 0.005 0.508 0.759
Mn 0.492 0.995 0.241
Mn 0.500 0.500 0.000
Mn 0.500 0.500 0.500
Mn 0.508 0.005 0.759
Mn 0.995 0.492 0.241
O 0.133 0.633 0.495
O 0.137 0.137 0.752
O 0.137 0.614 0.988
O 0.140 0.140 0.256
O 0.363 0.363 0.247
O 0.363 0.363 0.743
O 0.367 0.867 0.505
O 0.386 0.863 0.012
O 0.614 0.137 0.988
O 0.633 0.133 0.495
O 0.637 0.637 0.257
O 0.637 0.637 0.753
O 0.860 0.860 0.744
O 0.863 0.386 0.012
O 0.863 0.863 0.248
O 0.867 0.367 0.505

=====

LiV2O4 | GGA+U | optimized geometry

Results
Crystal system: monoclinic
ΔE_f, eV/atom: -2.45
E above lowest polymorph, kJ per mole of atoms: 5.4
E_tot, eV per atom: -7.27
SG: No. 11

abc: 5.195 5.954 5.313
angles: 90.00 90.70 90.00
Positions (direct):
Li 0.190 0.250 0.061
Li 0.810 0.750 0.939
V 0.000 0.000 0.500
V 0.000 0.500 0.500
V 0.488 0.750 0.481
V 0.512 0.250 0.519
O 0.141 0.750 0.695
O 0.163 0.250 0.701
O 0.321 0.014 0.307
O 0.321 0.486 0.307
O 0.679 0.514 0.693
O 0.679 0.986 0.693
O 0.837 0.750 0.299
O 0.859 0.250 0.305

=====

Li3Fe2P2C2O14 | GGA+U | optimized geometry

Results
Crystal system: monoclinic
ΔE_f, eV/atom: -2.18
E above lowest polymorph, kJ per mole of atoms: 0.4
E_tot, eV per atom: -6.83
SG: No. 7

abc: 9.438 6.455 10.264
angles: 90.00 117.83 90.00
Positions (direct):
Li 0.000 0.001 0.000
Li 0.000 0.999 0.500
Li 0.185 0.208 0.840
Li 0.185 0.792 0.340
Li 0.790 0.495 0.129
Li 0.790 0.505 0.629
Fe 0.234 0.497 0.138
Fe 0.234 0.503 0.638
Fe 0.571 0.001 0.004
Fe 0.571 0.999 0.504
P 0.322 0.002 0.144
P 0.322 0.998 0.644
P 0.478 0.497 0.998
P 0.478 0.503 0.498
C 0.863 0.012 0.697
C 0.863 0.988 0.197
C 0.943 0.499 0.943
C 0.943 0.501 0.443
O 0.003 0.031 0.805
O 0.003 0.969 0.305
O 0.070 0.488 0.922
O 0.070 0.512 0.422
O 0.208 0.185 0.629
O 0.208 0.815 0.129
O 0.209 0.188 0.125
O 0.209 0.812 0.625
O 0.322 0.474 0.850
O 0.322 0.526 0.350
O 0.364 0.010 0.015
O 0.364 0.990 0.515
O 0.425 0.499 0.120
O 0.425 0.501 0.620
O 0.474 0.003 0.792
O 0.474 0.997 0.292
O 0.582 0.312 0.512
O 0.582 0.688 0.012
O 0.594 0.313 0.023
O 0.594 0.687 0.523
O 0.739 0.000 0.221
O 0.739 0.000 0.721
O 0.806 0.500 0.335
O 0.806 0.500 0.835
O 0.829 0.004 0.559
O 0.829 0.996 0.059
O 0.975 0.492 0.581
O 0.975 0.508 0.081